This record from the Materials Project describes an optimized crystal structure of Sr5La3Mn4W4O24. The functional is PBE with a Hubbard U.

POSCAR file:
```
Sr5La3Mn4W4O24
1.0
8.174 0.000 0.000
-0.025 8.205 0.000
-4.056 -4.072 8.116
Sr La Mn W O
5 3 4 4 24
direct
0.379 0.391 0.748 Sr
0.109 0.624 0.250 Sr
0.875 0.886 0.750 Sr
0.891 0.376 0.746 Sr
0.610 0.122 0.254 Sr
0.400 0.873 0.750 La
0.120 0.104 0.254 La
0.627 0.611 0.255 La
0.249 0.749 0.000 Mn
0.000 0.001 0.503 Mn
0.751 0.252 0.000 Mn
0.500 0.496 0.499 Mn
0.001 0.501 0.500 W
0.250 0.251 0.001 W
0.500 0.000 0.502 W
0.748 0.751 0.000 W
0.042 0.276 0.538 O
0.995 0.240 0.954 O
0.244 0.458 0.951 O
0.831 0.918 0.233 O
0.233 0.958 0.443 O
0.071 0.655 0.732 O
0.433 0.831 0.262 O
0.271 0.556 0.556 O
0.535 0.781 0.550 O
0.479 0.748 0.948 O
0.731 0.968 0.945 O
0.331 0.416 0.233 O
0.673 0.585 0.769 O
0.255 0.044 0.053 O
0.511 0.266 0.052 O
0.445 0.212 0.444 O
0.729 0.460 0.442 O
0.570 0.156 0.738 O
0.941 0.339 0.265 O
0.762 0.042 0.551 O
0.184 0.079 0.770 O
0.751 0.537 0.058 O
0.020 0.774 0.054 O
0.950 0.716 0.446 O
```

**Space group**: No. 1
**E_form**: -2842.9 meV per atom
**Calculated density**: 6.69 g cm⁻³
**M_tot**: 23.00 μB/f.u.



This record from the Materials Project describes an optimized crystal structure of SrLaMnWO6. The functional is PBE with a Hubbard U.

POSCAR file:
```
SrLaMnWO6
1.0
-0.875 -5.247 -2.211
-3.066 -1.384 4.677
-1.437 4.658 -3.070
Sr La Mn W O
1 1 1 1 6
direct
0.750 0.250 0.500 Sr
0.250 0.750 0.500 La
0.000 0.000 0.000 Mn
0.500 0.500 0.000 W
0.261 0.261 0.000 O
0.308 0.182 0.517 O
0.818 0.335 0.125 O
0.739 0.739 0.000 O
0.210 0.692 0.875 O
0.665 0.790 0.483 O
```

**Space group**: No. 82
**E_form**: -2846.5 meV per atom
**Calculated density**: 6.85 g cm⁻³
**M_tot**: 6.00 μB/f.u.



This record from the Materials Project describes an optimized crystal structure of Sr3LaMn2W2O12. The functional is PBE with a Hubbard U.

POSCAR file:
```
Sr3LaMn2W2O12
1.0
-3.550 1.788 -4.247
3.939 -1.566 -3.951
-6.527 -14.782 -0.766
Sr La Mn W O
6 2 4 4 24
direct
0.023 0.233 0.999 Sr
0.022 0.241 0.501 Sr
0.477 0.741 0.755 Sr
0.523 0.767 0.001 Sr
0.522 0.759 0.499 Sr
0.977 0.259 0.245 Sr
0.470 0.738 0.241 La
0.970 0.262 0.759 La
0.000 0.748 0.878 Mn
0.998 0.751 0.375 Mn
0.500 0.252 0.122 Mn
0.498 0.249 0.625 Mn
0.999 0.753 0.125 W
0.000 0.750 0.624 W
0.499 0.247 0.875 W
0.500 0.250 0.376 W
0.987 0.671 0.507 O
0.987 0.666 0.010 O
0.779 0.018 0.107 O
0.781 0.000 0.604 O
0.771 0.034 0.893 O
0.757 0.041 0.398 O
0.726 0.540 0.153 O
0.750 0.530 0.649 O
0.732 0.504 0.848 O
0.711 0.509 0.352 O
0.519 0.173 0.755 O
0.512 0.158 0.259 O
0.487 0.329 0.493 O
0.487 0.334 0.990 O
0.281 0.000 0.396 O
0.279 0.982 0.893 O
0.271 0.966 0.107 O
0.257 0.959 0.602 O
0.250 0.470 0.351 O
0.226 0.460 0.847 O
0.232 0.496 0.152 O
0.211 0.491 0.648 O
0.019 0.827 0.245 O
0.012 0.842 0.741 O
```

**Space group**: No. 4
**E_form**: -2814.1 meV per atom
**Calculated density**: 6.52 g cm⁻³
**M_tot**: 9.00 μB/f.u.



This record from the Materials Project describes an optimized crystal structure of Sr3LaMn2W2O12. The functional is PBE with a Hubbard U.

POSCAR file:
```
Sr3LaMn2W2O12
1.0
-2.988 4.916 -0.023
-0.722 -0.468 5.713
6.904 4.192 1.211
Sr La Mn W O
3 1 2 2 12
direct
0.013 0.034 0.249 Sr
0.498 0.525 0.247 Sr
0.992 0.967 0.752 Sr
0.502 0.465 0.758 La
0.000 0.500 0.498 Mn
0.501 0.997 0.002 Mn
0.002 0.500 0.000 W
0.498 0.000 0.500 W
0.760 0.210 0.546 O
0.279 0.292 0.034 O
0.233 0.798 0.463 O
0.716 0.703 0.950 O
0.303 0.268 0.463 O
0.791 0.236 0.950 O
0.692 0.729 0.549 O
0.197 0.775 0.038 O
0.925 0.481 0.242 O
0.424 0.024 0.735 O
0.095 0.515 0.755 O
0.580 0.983 0.269 O
```

**Space group**: No. 1
**E_form**: -2819.7 meV per atom
**Calculated density**: 6.55 g cm⁻³
**M_tot**: 11.00 μB/f.u.



This record from the Materials Project describes an optimized crystal structure of La2TiMnO6. The functional is PBE with a Hubbard U.

POSCAR file:
```
La2TiMnO6
1.0
3.568 -0.319 4.353
-6.940 -4.525 5.386
0.811 -9.756 -1.351
La Ti Mn O
8 4 4 24
direct
0.489 0.399 0.852 La
0.489 0.899 0.352 La
0.011 0.148 0.101 La
0.011 0.648 0.601 La
0.511 0.601 0.148 La
0.511 0.101 0.648 La
0.989 0.852 0.899 La
0.989 0.352 0.399 La
0.000 0.500 0.000 Ti
0.000 0.000 0.500 Ti
0.500 0.000 0.000 Ti
0.500 0.500 0.500 Ti
0.000 0.750 0.250 Mn
0.500 0.750 0.750 Mn
0.000 0.250 0.750 Mn
0.500 0.250 0.250 Mn
0.596 0.603 0.634 O
0.596 0.103 0.134 O
0.904 0.366 0.897 O
0.904 0.866 0.397 O
0.404 0.397 0.366 O
0.404 0.897 0.866 O
0.096 0.634 0.103 O
0.096 0.134 0.603 O
0.691 0.832 0.115 O
0.691 0.332 0.615 O
0.809 0.385 0.168 O
0.809 0.885 0.668 O
0.309 0.168 0.885 O
0.309 0.668 0.385 O
0.191 0.615 0.832 O
0.191 0.115 0.332 O
0.282 0.379 0.072 O
0.282 0.879 0.572 O
0.218 0.428 0.621 O
0.218 0.928 0.121 O
0.718 0.621 0.928 O
0.718 0.121 0.428 O
0.782 0.572 0.379 O
0.782 0.072 0.879 O
```

**E_form**: -3465.8 meV per atom
**Calculated density**: 6.07 g cm⁻³
**M_tot**: 0.00 μB/f.u.